1.
DFT (GGA+U) results for crystalline Li2SiNiO4 at its relaxed geometry.

Results
* polymorph energy (0 for the lowest one): 74.6 meV/atom
* E_form: -2.3764 eV/atom

a b c (Å): 4.982 10.207 13.314
angles (deg): 90.00 90.00 90.00
Sites, in units of the cell vectors:
Li1 0.516 0.005 0.944
Li2 0.021 0.978 0.552
Li3 0.010 0.213 0.192
Li4 0.010 0.287 0.692
Li5 0.990 0.787 0.692
Li6 0.540 0.179 0.292
Li7 0.979 0.022 0.052
Li8 0.990 0.713 0.192
Li9 0.484 0.505 0.944
Li10 0.516 0.495 0.444
Li11 0.021 0.522 0.052
Li12 0.540 0.321 0.792
Li13 0.979 0.478 0.552
Li14 0.460 0.821 0.792
Li15 0.484 0.995 0.444
Li16 0.460 0.679 0.292
O1 0.856 0.449 0.911
O2 0.674 0.852 0.025
O3 0.144 0.551 0.411
O4 0.845 0.460 0.709
O5 0.347 0.788 0.171
O6 0.326 0.148 0.525
O7 0.690 0.893 0.596
O8 0.653 0.212 0.671
O9 0.093 0.179 0.813
O10 0.907 0.679 0.813
O11 0.347 0.712 0.671
O12 0.264 0.830 0.491
O13 0.310 0.107 0.096
O14 0.155 0.960 0.709
O15 0.144 0.949 0.911
O16 0.306 0.481 0.809
O17 0.694 0.981 0.809
O18 0.306 0.019 0.309
O19 0.907 0.821 0.313
O20 0.845 0.040 0.209
O21 0.653 0.288 0.171
O22 0.736 0.330 0.491
O23 0.155 0.540 0.209
O24 0.694 0.519 0.309
O25 0.690 0.607 0.096
O26 0.736 0.170 0.991
O27 0.674 0.648 0.525
O28 0.310 0.393 0.596
O29 0.326 0.352 0.025
O30 0.093 0.321 0.313
O31 0.264 0.670 0.991
O32 0.856 0.051 0.411
Ni1 0.031 0.279 0.936
Ni2 0.488 0.966 0.180
Ni3 0.488 0.534 0.680
Ni4 0.969 0.721 0.436
Ni5 0.969 0.779 0.936
Ni6 0.512 0.466 0.180
Ni7 0.031 0.221 0.436
Ni8 0.512 0.034 0.680
Si1 0.985 0.978 0.311
Si2 0.015 0.478 0.311
Si3 0.985 0.522 0.811
Si4 0.015 0.022 0.811
Si5 0.488 0.771 0.569
Si6 0.488 0.729 0.069
Si7 0.512 0.271 0.569
Si8 0.512 0.229 0.069



2.
DFT (GGA+U) results for crystalline Li2Si6Ni2O15 at its relaxed geometry.

Results
* E_form: -2.7727 eV/atom

a b c (Å): 11.364 11.364 10.208
angles (deg): 90.00 90.00 100.67
Sites, in units of the cell vectors:
O1 0.043 0.957 0.176
O2 0.744 0.903 0.424
O3 0.232 0.008 0.334
O4 0.841 0.492 0.674
O5 0.504 0.227 0.415
O6 0.844 0.400 0.990
O7 0.457 0.543 0.676
O8 0.732 0.508 0.166
O9 0.673 0.327 0.583
O10 0.244 0.403 0.076
O11 0.159 0.508 0.326
O12 0.172 0.174 0.164
O13 0.097 0.256 0.424
O14 0.656 0.100 0.490
O15 0.508 0.732 0.834
O16 0.400 0.844 0.010
O17 0.100 0.656 0.510
O18 0.004 0.727 0.085
O19 0.492 0.268 0.166
O20 0.827 0.173 0.083
O21 0.327 0.673 0.417
O22 0.389 0.611 0.043
O23 0.008 0.659 0.826
O24 0.756 0.597 0.924
O25 0.008 0.232 0.666
O26 0.828 0.826 0.836
O27 0.403 0.244 0.924
O28 0.674 0.672 0.664
O29 0.268 0.492 0.834
O30 0.344 0.900 0.510
O31 0.659 0.008 0.174
O32 0.492 0.841 0.326
O33 0.900 0.344 0.490
O34 0.826 0.828 0.164
O35 0.992 0.341 0.174
O36 0.957 0.043 0.824
O37 0.672 0.674 0.336
O38 0.543 0.457 0.324
O39 0.111 0.889 0.543
O40 0.903 0.744 0.576
O41 0.326 0.328 0.336
O42 0.341 0.992 0.826
O43 0.496 0.773 0.585
O44 0.156 0.600 0.010
O45 0.256 0.097 0.576
O46 0.889 0.111 0.457
O47 0.227 0.504 0.585
O48 0.773 0.496 0.415
O49 0.328 0.326 0.664
O50 0.600 0.156 0.990
O51 0.611 0.389 0.957
O52 0.727 0.004 0.915
O53 0.996 0.273 0.915
O54 0.597 0.756 0.076
O55 0.173 0.827 0.917
O56 0.273 0.996 0.085
O57 0.174 0.172 0.836
O58 0.768 0.992 0.666
O59 0.992 0.768 0.334
O60 0.508 0.159 0.674
Li1 0.994 0.506 0.750
Li2 0.609 0.391 0.744
Li3 0.109 0.891 0.756
Li4 0.891 0.109 0.244
Li5 0.494 0.006 0.750
Li6 0.391 0.609 0.256
Li7 0.506 0.994 0.250
Li8 0.006 0.494 0.250
Si1 0.477 0.737 0.990
Si2 0.800 0.419 0.544
Si3 0.200 0.581 0.456
Si4 0.237 0.977 0.490
Si5 0.023 0.763 0.490
Si6 0.464 0.321 0.309
Si7 0.977 0.237 0.510
Si8 0.419 0.800 0.456
Si9 0.581 0.200 0.544
Si10 0.300 0.919 0.956
Si11 0.679 0.536 0.309
Si12 0.263 0.523 0.990
Si13 0.737 0.477 0.010
Si14 0.523 0.263 0.010
Si15 0.536 0.679 0.691
Si16 0.964 0.821 0.191
Si17 0.821 0.964 0.809
Si18 0.081 0.700 0.956
Si19 0.321 0.464 0.691
Si20 0.179 0.036 0.191
Si21 0.700 0.081 0.044
Si22 0.763 0.023 0.510
Si23 0.919 0.300 0.044
Si24 0.036 0.179 0.809
Ni1 0.161 0.339 0.250
Ni2 0.339 0.161 0.750
Ni3 0.756 0.756 0.000
Ni4 0.256 0.256 0.500
Ni5 0.839 0.661 0.750
Ni6 0.661 0.839 0.250
Ni7 0.744 0.744 0.500
Ni8 0.244 0.244 0.000



Number 1: energy -6.067 eV per atom, energy with MP2020 corrections -6.728 eV/atom, size of the total moment 16.00 μB per cell. Number 2: energy -7.043 eV per atom, energy with MP2020 corrections -7.659 eV/atom, size of the total moment 16.00 μB per cell.